First-principles (PBE) data for crystalline PrSe at its relaxed geometry, as listed in the Materials Project.

Summary:
Formation energy from the elements ... -400 kJ/mol of formula units
E_tot ... -5.975 eV/atom

```
PrSe
1.0
6.035 0.000 0.000
0.000 6.035 0.000
0.000 0.000 6.035
Pr Se
4 4
Cartesian
0.000 0.000 0.000
0.000 3.017 3.017
3.017 0.000 3.017
3.017 3.017 0.000
0.000 0.000 3.017
0.000 3.017 0.000
3.017 0.000 0.000
3.017 3.017 3.017
```